Density functional theory data (GGA+U) for a geometry-optimized MnHO2 structure.

Summary:
ρ: 4.119 g/cm³
E: -6.59 eV per atom
largest piezoelectric modulus: 0.6 C/m2
E_form: -1.73 eV/atom

POSCAR file:
```
MnHO2
1.0
-1.995 1.794 -3.611
-4.834 -1.120 2.114
-0.061 5.221 2.627
H Mn O
4 4 8
direct
0.941 0.525 0.001 H
0.559 0.025 0.249 H
0.559 0.025 0.749 H
0.941 0.525 0.501 H
0.477 0.514 0.251 Mn
0.023 0.014 0.498 Mn
0.477 0.514 0.752 Mn
0.023 0.014 0.999 Mn
0.745 0.628 0.501 O
0.264 0.888 0.249 O
0.755 0.128 0.749 O
0.264 0.888 0.749 O
0.745 0.628 0.001 O
0.755 0.128 0.249 O
0.236 0.388 0.501 O
0.236 0.388 0.001 O
```



Density functional theory data (GGA+U) for a geometry-optimized MnH2O2 structure.

Summary:
ρ: 3.114 g/cm³
E: -6.12 eV per atom
E_form: -1.56 eV/atom

POSCAR file:
```
MnH2O2
1.0
-3.980 -1.392 2.337
-3.701 2.509 -5.042
0.158 -5.182 -2.690
H Mn O
8 4 8
direct
0.404 0.739 0.121 H
0.405 0.488 0.621 H
0.551 0.231 0.794 H
0.551 0.980 0.294 H
0.405 0.988 0.621 H
0.404 0.239 0.121 H
0.551 0.480 0.294 H
0.551 0.731 0.794 H
0.978 0.485 0.955 Mn
0.978 0.233 0.455 Mn
0.978 0.733 0.455 Mn
0.978 0.985 0.955 Mn
0.203 0.986 0.619 O
0.754 0.981 0.291 O
0.203 0.486 0.620 O
0.202 0.739 0.119 O
0.753 0.731 0.791 O
0.202 0.239 0.120 O
0.754 0.481 0.292 O
0.753 0.231 0.791 O
```



Density functional theory data (GGA+U) for a geometry-optimized MnHO2 structure.

Summary:
ρ: 4.047 g/cm³
E: -6.54 eV per atom
M_tot: 4.0 μB per formula unit
crystal system: orthorhombic
E_form: -1.69 eV/atom

POSCAR file:
```
MnHO2
1.0
3.054 0.000 0.000
0.000 4.608 0.000
0.000 0.000 10.255
Mn H O
4 4 8
direct
0.000 0.214 0.000 Mn
0.000 0.786 0.500 Mn
0.500 0.281 0.712 Mn
0.500 0.719 0.212 Mn
0.000 0.164 0.262 H
0.000 0.836 0.762 H
0.500 0.344 0.432 H
0.500 0.656 0.932 H
0.000 0.038 0.798 O
0.000 0.482 0.157 O
0.000 0.518 0.657 O
0.000 0.962 0.298 O
0.500 0.021 0.559 O
0.500 0.449 0.908 O
0.500 0.551 0.408 O
0.500 0.979 0.059 O
```



Density functional theory data (GGA+U) for a geometry-optimized MnP2HO8 structure.

Summary:
ρ: 2.059 g/cm³
E: -6.35 eV per atom
M_tot: 2.0 μB per formula unit
crystal system: monoclinic
E_form: -1.70 eV/atom

POSCAR file:
```
MnP2HO8
1.0
7.861 0.000 0.000
0.000 5.746 0.000
-5.811 0.000 8.781
Mn P H O
2 4 2 16
direct
0.000 0.000 0.000 Mn
0.000 0.500 0.500 Mn
0.238 0.238 0.838 P
0.238 0.262 0.338 P
0.762 0.738 0.662 P
0.762 0.762 0.162 P
0.500 0.000 0.500 H
0.500 0.500 0.000 H
0.082 0.092 0.838 O
0.082 0.408 0.338 O
0.170 0.720 0.568 O
0.170 0.780 0.068 O
0.231 0.206 0.197 O
0.231 0.294 0.697 O
0.415 0.179 0.490 O
0.415 0.321 0.990 O
0.585 0.679 0.010 O
0.585 0.821 0.510 O
0.769 0.706 0.303 O
0.769 0.794 0.803 O
0.830 0.220 0.932 O
0.830 0.280 0.432 O
0.918 0.592 0.662 O
0.918 0.908 0.162 O
```



Density functional theory data (GGA+U) for a geometry-optimized MnP3H6O12 structure.

Summary:
ρ: 2.309 g/cm³
E: -6.35 eV per atom
M_tot: 4.0 μB per formula unit
crystal system: monoclinic
E_form: -2.02 eV/atom

POSCAR file:
```
MnP3H6O12
1.0
7.936 0.000 0.000
0.000 5.017 0.000
-1.068 0.000 12.495
Mn P H O
2 6 12 24
direct
0.000 0.000 0.000 Mn
0.000 0.000 0.500 Mn
0.000 0.246 0.250 P
0.000 0.754 0.750 P
0.217 0.486 0.597 P
0.217 0.514 0.097 P
0.783 0.486 0.903 P
0.783 0.514 0.403 P
0.318 0.022 0.863 H
0.318 0.978 0.363 H
0.477 0.325 0.628 H
0.477 0.675 0.128 H
0.499 0.103 0.126 H
0.499 0.897 0.626 H
0.501 0.103 0.374 H
0.501 0.897 0.874 H
0.523 0.325 0.872 H
0.523 0.675 0.372 H
0.682 0.022 0.637 H
0.682 0.978 0.137 H
0.087 0.097 0.343 O
0.087 0.903 0.843 O
0.137 0.449 0.209 O
0.137 0.551 0.709 O
0.151 0.317 0.012 O
0.151 0.683 0.512 O
0.183 0.193 0.572 O
0.183 0.807 0.072 O
0.412 0.490 0.124 O
0.412 0.510 0.624 O
0.439 0.065 0.866 O
0.439 0.935 0.366 O
0.561 0.065 0.634 O
0.561 0.935 0.134 O
0.588 0.490 0.376 O
0.588 0.510 0.876 O
0.817 0.193 0.928 O
0.817 0.807 0.428 O
0.849 0.317 0.488 O
0.849 0.683 0.988 O
0.863 0.449 0.291 O
0.863 0.551 0.791 O
0.913 0.097 0.157 O
0.913 0.903 0.657 O
```



Density functional theory data (GGA+U) for a geometry-optimized MnPH7O7 structure.

Summary:
ρ: 1.849 g/cm³
E: -5.45 eV per atom
M_tot: 1.0 μB per formula unit
polymorph energy (0 for the lowest one): 0.424 eV per atom
crystal system: orthorhombic
E_form: -1.29 eV/atom

POSCAR file:
```
MnPH7O7
1.0
10.007 0.000 0.000
0.000 13.525 0.000
0.000 0.000 10.878
Mn P H O
8 8 56 56
direct
0.126 0.191 0.224 Mn
0.126 0.309 0.724 Mn
0.374 0.691 0.224 Mn
0.374 0.809 0.724 Mn
0.626 0.191 0.276 Mn
0.626 0.309 0.776 Mn
0.874 0.691 0.276 Mn
0.874 0.809 0.776 Mn
0.135 0.582 0.105 P
0.135 0.918 0.605 P
0.365 0.082 0.105 P
0.365 0.418 0.605 P
0.635 0.582 0.395 P
0.635 0.918 0.895 P
0.865 0.082 0.395 P
0.865 0.418 0.895 P
0.019 0.160 0.857 H
0.019 0.340 0.357 H
0.033 0.126 0.804 H
0.033 0.374 0.304 H
0.052 0.505 0.892 H
0.052 0.995 0.392 H
0.172 0.195 0.478 H
0.172 0.305 0.978 H
0.194 0.676 0.401 H
0.194 0.731 0.627 H
0.194 0.769 0.127 H
0.194 0.824 0.901 H
0.247 0.071 0.930 H
0.247 0.429 0.430 H
0.253 0.571 0.930 H
0.253 0.929 0.430 H
0.306 0.176 0.401 H
0.306 0.231 0.627 H
0.306 0.269 0.127 H
0.306 0.324 0.901 H
0.328 0.695 0.478 H
0.328 0.805 0.978 H
0.448 0.005 0.892 H
0.448 0.495 0.392 H
0.467 0.626 0.804 H
0.467 0.874 0.304 H
0.481 0.660 0.857 H
0.481 0.840 0.357 H
0.519 0.160 0.643 H
0.519 0.340 0.143 H
0.533 0.126 0.696 H
0.533 0.374 0.196 H
0.552 0.505 0.608 H
0.552 0.995 0.108 H
0.672 0.195 0.022 H
0.672 0.305 0.522 H
0.694 0.676 0.099 H
0.694 0.731 0.873 H
0.694 0.769 0.373 H
0.694 0.824 0.599 H
0.747 0.071 0.570 H
0.747 0.429 0.070 H
0.753 0.571 0.570 H
0.753 0.929 0.070 H
0.806 0.176 0.099 H
0.806 0.231 0.873 H
0.806 0.269 0.373 H
0.806 0.324 0.599 H
0.828 0.695 0.022 H
0.828 0.805 0.522 H
0.948 0.005 0.608 H
0.948 0.495 0.108 H
0.967 0.626 0.696 H
0.967 0.874 0.196 H
0.981 0.660 0.643 H
0.981 0.840 0.143 H
0.001 0.655 0.363 O
0.001 0.845 0.863 O
0.035 0.001 0.651 O
0.035 0.499 0.151 O
0.068 0.680 0.080 O
0.068 0.820 0.580 O
0.188 0.531 0.977 O
0.188 0.969 0.477 O
0.215 0.203 0.397 O
0.215 0.297 0.897 O
0.217 0.206 0.654 O
0.217 0.294 0.154 O
0.250 0.081 0.197 O
0.250 0.419 0.697 O
0.250 0.581 0.197 O
0.250 0.919 0.697 O
0.283 0.706 0.654 O
0.283 0.794 0.154 O
0.285 0.703 0.397 O
0.285 0.797 0.897 O
0.312 0.031 0.977 O
0.312 0.469 0.477 O
0.432 0.180 0.080 O
0.432 0.320 0.580 O
0.465 0.501 0.651 O
0.465 0.999 0.151 O
0.499 0.155 0.363 O
0.499 0.345 0.863 O
0.501 0.655 0.137 O
0.501 0.845 0.637 O
0.535 0.001 0.849 O
0.535 0.499 0.349 O
0.568 0.680 0.420 O
0.568 0.820 0.920 O
0.688 0.531 0.523 O
0.688 0.969 0.023 O
0.715 0.203 0.103 O
0.715 0.297 0.603 O
0.717 0.206 0.846 O
0.717 0.294 0.346 O
0.750 0.081 0.303 O
0.750 0.419 0.803 O
0.750 0.581 0.303 O
0.750 0.919 0.803 O
0.783 0.706 0.846 O
0.783 0.794 0.346 O
0.785 0.703 0.103 O
0.785 0.797 0.603 O
0.812 0.031 0.523 O
0.812 0.469 0.023 O
0.932 0.180 0.420 O
0.932 0.320 0.920 O
0.965 0.501 0.849 O
0.965 0.999 0.349 O
0.999 0.155 0.137 O
0.999 0.345 0.637 O
```



Density functional theory data (GGA+U) for a geometry-optimized MnPHO3 structure.

Summary:
ρ: 3.007 g/cm³
E: -6.91 eV per atom
M_tot: 5.0 μB per formula unit
crystal system: monoclinic
E_form: -2.06 eV/atom

POSCAR file:
```
MnPHO3
1.0
8.173 0.000 0.000
0.000 8.422 0.000
-5.985 0.000 8.658
Mn P H O
8 8 8 24
direct
0.024 0.212 0.013 Mn
0.024 0.288 0.513 Mn
0.319 0.132 0.875 Mn
0.319 0.368 0.375 Mn
0.681 0.632 0.625 Mn
0.681 0.868 0.125 Mn
0.976 0.712 0.487 Mn
0.976 0.788 0.987 Mn
0.090 0.011 0.312 P
0.090 0.489 0.812 P
0.452 0.651 0.238 P
0.452 0.849 0.738 P
0.548 0.151 0.262 P
0.548 0.349 0.762 P
0.910 0.511 0.188 P
0.910 0.989 0.688 P
0.268 0.574 0.874 H
0.268 0.926 0.374 H
0.411 0.513 0.148 H
0.411 0.987 0.648 H
0.589 0.013 0.352 H
0.589 0.487 0.852 H
0.732 0.074 0.626 H
0.732 0.426 0.126 H
0.017 0.518 0.366 O
0.017 0.982 0.866 O
0.043 0.083 0.654 O
0.043 0.417 0.154 O
0.145 0.175 0.392 O
0.145 0.325 0.892 O
0.283 0.732 0.646 O
0.283 0.768 0.146 O
0.347 0.216 0.224 O
0.347 0.284 0.724 O
0.476 0.591 0.387 O
0.476 0.909 0.887 O
0.524 0.091 0.113 O
0.524 0.409 0.613 O
0.653 0.716 0.276 O
0.653 0.784 0.776 O
0.717 0.232 0.854 O
0.717 0.268 0.354 O
0.855 0.675 0.108 O
0.855 0.825 0.608 O
0.957 0.583 0.846 O
0.957 0.917 0.346 O
0.983 0.018 0.134 O
0.983 0.482 0.634 O
```